# 1
A geometry-optimized BaCuSbO5 structure, computed with PBE.

Results
Energy relative to the elements ... -1.673 eV per atom

Cell lengths 3.768, 3.768, 9.393 Å; angles 90.00, 90.00, 90.00 degrees
Space group P4mm (No. 99)
One atom of each set of equivalent atoms:
1 Ba 0.000 0.000 0.000 [1 per cell]
2 Cu 0.500 0.500 0.246 [1 per cell]
3 Sb 0.500 0.500 0.680 [1 per cell]
4 O 0.000 0.500 0.204 [2 per cell]
5 O 0.000 0.500 0.624 [2 per cell]
6 O 0.500 0.500 0.886 [1 per cell]

# 2
A geometry-optimized Ba3Sc4Cu3O12 structure, computed with PBE.

Results
Energy relative to the elements ... -2.888 eV per atom

Cell lengths 12.035, 12.035, 8.461 Å; angles 90.00, 90.00, 90.00 degrees
Space group I4/mcm (No. 140)
One atom of each set of equivalent atoms:
1 Ba 0.000 0.000 0.000 [4 per cell]
2 Ba 0.223 0.277 0.000 [8 per cell]
3 Sc 0.000 0.241 0.250 [16 per cell]
4 Cu 0.000 0.500 0.250 [4 per cell]
5 Cu 0.104 0.396 0.500 [8 per cell]
6 O 0.001 0.262 0.500 [16 per cell]
7 O 0.116 0.384 0.269 [16 per cell]
8 O 0.127 0.127 0.250 [16 per cell]

# 3
A geometry-optimized BaCuSe2O6 structure, computed with PBE.

Results
Excess energy over the best structure of this formula in the dataset ... 21 meV/atom
Energy relative to the elements ... -1.712 eV per atom

Cell lengths 5.415, 13.434, 9.028 Å; angles 90.00, 90.34, 90.00 degrees
Space group P2_1/c (No. 14)
One atom of each set of equivalent atoms:
1 Ba 0.230 0.201 0.191 [4 per cell]
2 Cu 0.226 0.633 0.600 [4 per cell]
3 Se 0.264 0.638 0.965 [4 per cell]
4 Se 0.312 0.009 0.791 [4 per cell]
5 O 0.083 0.729 0.049 [4 per cell]
6 O 0.207 0.594 0.391 [4 per cell]
7 O 0.220 0.115 0.876 [4 per cell]
8 O 0.279 0.696 0.791 [4 per cell]
9 O 0.370 0.505 0.672 [4 per cell]
10 O 0.444 0.160 0.472 [4 per cell]

# 4
A geometry-optimized BaCuSe2O6 structure, computed with PBE.

Results
Excess energy over the best structure of this formula in the dataset ... 22 meV/atom
Largest piezoelectric modulus ... 0.80 C/m2
Energy relative to the elements ... -1.711 eV per atom

Cell lengths 13.576, 5.388, 9.063 Å; angles 90.00, 90.00, 90.00 degrees
Space group Pmn2_1 (No. 31)
One atom of each set of equivalent atoms:
1 Ba 0.202 0.000 0.000 [4 per cell]
2 Cu 0.131 0.457 0.295 [4 per cell]
3 Se 0.000 0.527 0.980 [2 per cell]
4 Se 0.000 0.917 0.410 [2 per cell]
5 Se 0.143 0.504 0.668 [4 per cell]
6 O 0.000 0.594 0.351 [2 per cell]
7 O 0.000 0.842 0.970 [2 per cell]
8 O 0.102 0.026 0.322 [4 per cell]
9 O 0.104 0.455 0.083 [4 per cell]
10 O 0.175 0.210 0.715 [4 per cell]
11 O 0.188 0.530 0.488 [4 per cell]
12 O 0.233 0.688 0.751 [4 per cell]

# 5
A geometry-optimized BaCuSeO structure, computed with PBE.

Results
Energy relative to the elements ... -1.395 eV per atom

Cell lengths 4.310, 4.310, 9.782 Å; angles 90.00, 90.00, 90.00 degrees
Space group P4/nmm (No. 129, origin choice 2)
One atom of each set of equivalent atoms:
1 Ba 0.250 0.250 0.140 [2 per cell]
2 Cu 0.250 0.750 0.500 [2 per cell]
3 Se 0.250 0.250 0.630 [2 per cell]
4 O 0.250 0.750 0.000 [2 per cell]

# 6
A geometry-optimized BaCuSe2O6 structure, computed with PBE.

Results
Excess energy over the best structure of this formula in the dataset ... 0 meV/atom
Energy relative to the elements ... -1.733 eV per atom

Cell lengths 8.370, 5.255, 16.015 Å; angles 90.00, 91.28, 90.00 degrees
Space group C2/c (No. 15)
One atom of each set of equivalent atoms:
1 Ba 0.000 0.036 0.250 [4 per cell]
2 Cu 0.000 0.000 0.000 [4 per cell]
3 Se 0.136 0.499 0.091 [8 per cell]
4 O 0.026 0.288 0.422 [8 per cell]
5 O 0.035 0.210 0.598 [8 per cell]
6 O 0.183 0.456 0.194 [8 per cell]

# 7
A geometry-optimized BaCuSi4O10 structure, computed with PBE.

Results
Energy relative to the elements ... -3.012 eV per atom

Cell lengths 7.522, 7.522, 16.554 Å; angles 90.00, 90.00, 90.00 degrees
Space group P4/ncc (No. 130, origin choice 2)
One atom of each set of equivalent atoms:
1 Ba 0.250 0.750 0.000 [4 per cell]
2 Cu 0.250 0.250 0.097 [4 per cell]
3 Si 0.015 0.064 0.345 [16 per cell]
4 O 0.000 0.221 0.863 [16 per cell]
5 O 0.026 0.119 0.092 [16 per cell]
6 O 0.028 0.528 0.250 [8 per cell]

# 8
A geometry-optimized Ba2CuSi2O7 structure, computed with PBE.

Results
Excess energy over the best structure of this formula in the dataset ... 0 meV/atom
Energy relative to the elements ... -2.957 eV per atom

Cell lengths 8.417, 8.417, 5.358 Å; angles 90.00, 90.00, 90.00 degrees
Space group P-42_1m (No. 113)
One atom of each set of equivalent atoms:
1 Ba 0.167 0.333 0.491 [4 per cell]
2 Cu 0.000 0.000 0.000 [2 per cell]
3 Si 0.134 0.634 0.976 [4 per cell]
4 O 0.000 0.500 0.870 [2 per cell]
5 O 0.079 0.802 0.844 [8 per cell]
6 O 0.134 0.634 0.277 [4 per cell]

Short version: spin magnetization = 0.0040; 0.1364; 0.1000; 0.1002; 0.0062; 0.1000; 0.0642; 0.0833 μB/atom, in the order given.